Computed, not measured: a relaxed structure of CsMg6B at the GGA-PBE level of DFT.

Computed properties:
Energy relative to the elements, meV per atom: 428
ΔE to the lowest computed polymorph, eV per formula unit: 0.43
Crystal system: orthorhombic

Cell: 3.488 9.494 14.086 Å, 90.00 90.00 90.00°
Space group Amm2 (No. 38)
Asymmetric unit:
Cs 0.000 0.000 0.000 [2 per cell]
Mg 0.000 0.233 0.236 [4 per cell]
Mg 0.500 0.000 0.353 [2 per cell]
Mg 0.500 0.000 0.755 [2 per cell]
Mg 0.500 0.143 0.568 [4 per cell]
B 0.000 0.000 0.646 [2 per cell]